No. 1
A relaxed structure of CaH8Cl2O4, computed with r²SCAN.

```
data_CaH8Cl2O4
_chemical_formula_sum 'Ca2 H16 Cl4 O8'
_cell_length_a 6.269
_cell_length_b 6.556
_cell_length_c 8.273
_cell_angle_alpha 93.53
_cell_angle_beta 96.22
_cell_angle_gamma 110.56
_space_group_name_H-M_alt 'P -1'
_space_group_IT_number 2
_space_group_name_Hall '-P 1'
loop_
_atom_site_label
_atom_site_fract_x
_atom_site_fract_y
_atom_site_fract_z
Ca1 0.004 0.381 0.245
H1 0.189 0.824 0.433
H2 0.241 0.112 0.080
H3 0.248 0.053 0.670
H4 0.248 0.299 0.968
H5 0.315 0.402 0.681
H6 0.349 0.708 0.502
H7 0.408 0.047 0.825
H8 0.457 0.578 0.829
Cl1 0.235 0.760 0.092
Cl2 0.283 0.208 0.452
O1 0.186 0.684 0.470
O2 0.248 0.984 0.771
O3 0.263 0.268 0.082
O4 0.300 0.479 0.783
```

## Properties
**Energy above the lowest structure with this stoichiometry**: 0.00 eV/f.u.



No. 2
A relaxed structure of CaHClO, computed with r²SCAN.

```
data_CaHClO
_chemical_formula_sum 'Ca2 H2 Cl2 O2'
_cell_length_a 3.8698
_cell_length_b 3.8698
_cell_length_c 9.8098
_cell_angle_alpha 90.00
_cell_angle_beta 90.00
_cell_angle_gamma 120.00
_space_group_name_H-M_alt 'P 63 m c'
_space_group_IT_number 186
_space_group_name_Hall 'P 6c -2c'
loop_
_atom_site_label
_atom_site_fract_x
_atom_site_fract_y
_atom_site_fract_z
Ca1 0.3333 0.6667 0.0000
H1 0.0000 0.0000 0.1669
Cl1 0.3333 0.6667 0.3166
O1 0.0000 0.0000 0.0680
```



Number 1: energy relative to the elements -1387 meV/atom, total DFT energy (no corrections) -91.68 eV/f.u.. Number 2: energy relative to the elements -2314 meV/atom, total DFT energy (no corrections) -31.87 eV/f.u..